a.
# BaAl2Si2O8 GGA-PBE optimized geometry
data_BaAl2Si2O8
_cell_length_a 5.3450
_cell_length_b 5.3450
_cell_length_c 7.9633
_cell_angle_alpha 90.00
_cell_angle_beta 90.00
_cell_angle_gamma 120.00
_symmetry_space_group_name_H-M 'P -3'
_symmetry_Int_Tables_number 147
_symmetry_space_group_name_Hall '-P 3'
loop_
_atom_site_label
_atom_site_fract_x
_atom_site_fract_y
_atom_site_fract_z
Ba1 0.0000 0.0000 0.0000
Al1 0.3333 0.6667 0.2969
Si1 0.3333 0.6667 0.7135
O1 0.0112 0.5736 0.7904
O2 0.3333 0.6667 0.5126
# Crystal system: trigonal
# Magnetic moment (μB/cell): 0.00

---

b.
# BaAl2Si2O8 GGA-PBE optimized geometry
data_BaAl2Si2O8
_cell_length_a 5.4187
_cell_length_b 5.4187
_cell_length_c 7.9187
_cell_angle_alpha 90.00
_cell_angle_beta 90.00
_cell_angle_gamma 120.00
_symmetry_space_group_name_H-M 'P -3 m 1'
_symmetry_Int_Tables_number 164
_symmetry_space_group_name_Hall '-P 3 2"'
loop_
_atom_site_label
_atom_site_fract_x
_atom_site_fract_y
_atom_site_fract_z
Ba1 0.0000 0.0000 0.0000
Al1 0.3333 0.6667 0.7030
Si1 0.3333 0.6667 0.2834
O1 0.0093 0.5047 0.2048
O2 0.3333 0.6667 0.4861
# Crystal system: trigonal
# Magnetic moment (μB/cell): 0.00

---

Most stable structure: a